This record from the Materials Project database describes a relaxed structure of SrMg14Mo. The functional is PBE-GGA.

Lattice parameters (Å, degrees): 6.5013 6.4747 10.3267 90.00 90.00 119.86
Positions (direct):
Sr 0.1597 0.3298 0.1250
Mg 0.1697 0.3348 0.6250
Mg 0.1640 0.8320 0.6250
Mg 0.6571 0.3218 0.1250
Mg 0.6650 0.3374 0.6250
Mg 0.6571 0.8352 0.1250
Mg 0.6650 0.8276 0.6250
Mg 0.3340 0.1532 0.3780
Mg 0.3340 0.1532 0.8720
Mg 0.3340 0.6808 0.3780
Mg 0.3340 0.6808 0.8720
Mg 0.8242 0.1621 0.3909
Mg 0.8242 0.1621 0.8591
Mg 0.8463 0.6732 0.3592
Mg 0.8463 0.6732 0.8908
Mo 0.1854 0.8427 0.1250



This record from the Materials Project database describes a relaxed structure of SrMg14Mo. The functional is PBE-GGA.

Lattice parameters (Å, degrees): 6.5092 6.5092 10.2205 90.00 90.00 120.00
Positions (direct):
Sr 0.1667 0.3333 0.1250
Mg 0.1785 0.8392 0.1250
Mg 0.1615 0.8307 0.6250
Mg 0.6608 0.3215 0.1250
Mg 0.6693 0.3385 0.6250
Mg 0.6608 0.8392 0.1250
Mg 0.6693 0.8307 0.6250
Mg 0.3318 0.1682 0.3955
Mg 0.3318 0.1682 0.8545
Mg 0.3318 0.6637 0.3955
Mg 0.3318 0.6637 0.8545
Mg 0.8363 0.1682 0.3955
Mg 0.8363 0.1682 0.8545
Mg 0.8333 0.6667 0.3668
Mg 0.8333 0.6667 0.8832
Mo 0.1667 0.3333 0.6250



This record from the Materials Project database describes a relaxed structure of Mg6TiMo. The functional is PBE-GGA.

Lattice parameters (Å, degrees): 4.7746 6.0194 11.0822 90.00 90.00 90.00
Positions (direct):
Mg 0.0000 0.2589 0.0754
Mg 0.0000 0.7411 0.0754
Mg 0.0000 0.0000 0.3295
Mg 0.5000 0.7433 0.4241
Mg 0.5000 0.2567 0.4241
Mg 0.5000 0.0000 0.1724
Mg 0.0000 0.7589 0.5754
Mg 0.0000 0.2411 0.5754
Mg 0.0000 0.5000 0.8295
Mg 0.5000 0.2433 0.9241
Mg 0.5000 0.7567 0.9241
Mg 0.5000 0.5000 0.6724
Ti 0.0000 0.5000 0.2999
Ti 0.0000 0.0000 0.7999
Mo 0.5000 0.5000 0.1993
Mo 0.5000 0.0000 0.6993



no.,energy (eV/atom),calculated volume (A^3/atom),formation enthalpy at 0 K (eV per atom)
1,-2.02,23.560,0.16
2,-2.02,23.439,0.17
3,-3.36,19.907,0.18